Entry 1:
Below is a relaxed structure of NiH10C2N4O6, with properties calculated at the PBE+U level.

magnetic moment	8.00	μB/cell
ΔE_f	-0.87	eV/atom

Cell: 11.6584 6.9954 10.4615 Å, 90.00 109.88 90.00°
Closest atoms and distances in Å follow each position.
Space group C2/c (No. 15)
Asymmetric unit:
Ni  0.0000  0.0000  0.0000 [4 per cell]  4 O 2.04-2.17, 2 N 2.08
H  0.0246  0.3384  0.4050 [8 per cell]  1 O 1.00
H  0.0975  0.3459  0.0627 [8 per cell]  1 O 1.01
H  0.1143  0.2863  0.6540 [8 per cell]  1 N 1.03
H  0.1300  0.0979  0.7575 [8 per cell]  1 N 1.03
H  0.1826  0.3326  0.2846 [8 per cell]  1 N 1.02
C  0.2476  0.0256  0.5317 [8 per cell]  2 O 1.28, 1 N 1.37
N  0.1274  0.1413  0.6622 [8 per cell]  2 H 1.03
N  0.2421  0.0992  0.6508 [8 per cell]  1 H 1.02
O  0.0530  0.2658  0.1106 [8 per cell]  2 H 1.00-1.01
O  0.1466  0.4843  0.4793 [8 per cell]  1 C 1.28
O  0.1488  0.0304  0.9408 [8 per cell]  1 C 1.28



Entry 2:
Below is a relaxed structure of NiP4H18C2N2O15, with properties calculated at the PBE+U level.

magnetic moment	4.00	μB/cell
ΔE_f	-1.34	eV/atom

Cell: 9.3374 9.4050 9.5212 Å, 88.76 70.70 89.60°
Closest atoms and distances in Å follow each position.
Space group P-1 (No. 2)
Asymmetric unit:
Ni  0.0000  0.0000  0.0000 [1 per cell]  6 O 2.08-2.16
Ni  0.5000  0.5000  0.0000 [1 per cell]  6 O 2.06-2.14
P  0.0656  0.8563  0.2789 [2 per cell]  3 O 1.52-1.63
P  0.2099  0.2996  0.9827 [2 per cell]  3 O 1.51-1.58
P  0.2531  0.3578  0.2874 [2 per cell]  3 O 1.51-1.59
P  0.3017  0.7968  0.9786 [2 per cell]  3 O 1.51-1.58
H  0.0120  0.8167  0.7583 [2 per cell]  1 N 1.04
H  0.0238  0.1015  0.4830 [2 per cell]  1 O 0.98
H  0.0552  0.6842  0.6345 [2 per cell]  1 N 1.03
H  0.0812  0.3417  0.8266 [2 per cell]  1 O 1.02
H  0.1021  0.4798  0.1627 [2 per cell]  1 C 1.10
H  0.1104  0.6739  0.7806 [2 per cell]  1 N 1.04
H  0.1118  0.3534  0.5362 [2 per cell]  1 O 1.00
H  0.2895  0.0092  0.6177 [2 per cell]  1 O 0.97
H  0.3035  0.9714  0.1652 [2 per cell]  1 C 1.10
H  0.3119  0.5327  0.5802 [2 per cell]  1 O 0.98
H  0.3216  0.0416  0.7618 [2 per cell]  1 O 0.98
H  0.3261  0.6678  0.2649 [2 per cell]  1 N 1.05
H  0.3651  0.8176  0.3400 [2 per cell]  1 N 1.03
H  0.3717  0.2322  0.6101 [2 per cell]  1 O 1.00
H  0.3964  0.3744  0.6830 [2 per cell]  1 O 0.98
H  0.4200  0.6589  0.5542 [2 per cell]  1 O 0.99
H  0.4642  0.1597  0.1885 [2 per cell]  1 O 1.03
H  0.4746  0.7612  0.1694 [2 per cell]  1 N 1.06
C  0.1260  0.3663  0.1733 [2 per cell]  1 H 1.10
C  0.2683  0.8594  0.1713 [2 per cell]  1 H 1.10
N  0.0207  0.7066  0.7463 [2 per cell]  3 H 1.03-1.04
N  0.3618  0.7740  0.2432 [2 per cell]  3 H 1.03-1.06
O  0.0066  0.2888  0.7139 [2 per cell]  1 P 1.52, 1 H 1.55
O  0.0102  0.0177  0.7707 [2 per cell]  1 P 1.52
O  0.0772  0.8839  0.4430 [2 per cell]  1 H 0.98
O  0.1326  0.3948  0.8893 [2 per cell]  1 H 1.02
O  0.1380  0.4110  0.4416 [2 per cell]  1 H 1.00
O  0.1596  0.8378  0.9427 [2 per cell]  1 P 1.52
O  0.1757  0.1431  0.9768 [2 per cell]  1 P 1.51
O  0.3052  0.2066  0.2982 [2 per cell]  1 P 1.51, 1 H 1.57
O  0.3114  0.6344  0.6008 [2 per cell]  2 H 0.98-0.99
O  0.3372  0.6404  0.9795 [2 per cell]  1 P 1.51
O  0.3614  0.0584  0.6538 [2 per cell]  2 H 0.97-0.98
O  0.3698  0.4749  0.2245 [2 per cell]  1 P 1.52
O  0.3794  0.3339  0.9363 [2 per cell]  1 P 1.53, 1 H 1.67
O  0.3972  0.3356  0.5885 [2 per cell]  2 H 0.98-1.00
O  0.4415  0.8897  0.8820 [2 per cell]  1 H 1.03



Entry 3:
Below is a relaxed structure of NiH20PdC4N4O12, with properties calculated at the PBE+U level.

magnetic moment	4.04	μB/cell
ΔE_f	-1.02	eV/atom

Cell: 7.1907 7.4510 15.0342 Å, 90.00 90.00 90.00°
Closest atoms and distances in Å follow each position.
Space group I222 (No. 23)
Asymmetric unit:
Ni  0.0000  0.0000  0.0000 [2 per cell]  6 O 2.06-2.08
H  0.0031  0.3524  0.9457 [8 per cell]  1 O 0.99
H  0.0366  0.1409  0.6568 [8 per cell]  1 N 1.03
H  0.1096  0.4927  0.1855 [8 per cell]  1 O 1.00
H  0.1113  0.2728  0.3996 [8 per cell]  1 N 1.03
H  0.1148  0.2888  0.5840 [8 per cell]  1 N 1.03
Pd  0.0000  0.0000  0.5000 [2 per cell]  4 N 2.07
C  0.1089  0.0080  0.8194 [8 per cell]  2 O 1.25-1.28
N  0.0091  0.1990  0.5958 [8 per cell]  3 H 1.03
O  0.0000  0.2767  0.0000 [4 per cell]  2 H 0.99
O  0.0000  0.5000  0.1452 [4 per cell]  2 H 1.00
O  0.1872  0.0222  0.7452 [8 per cell]  1 C 1.25
O  0.1887  0.0056  0.8956 [8 per cell]  1 C 1.28



Entry 4:
Below is a relaxed structure of NiH18C4S6N8O4, with properties calculated at the PBE+U level.

distance to the lowest polymorph of the same formula	0	meV per atom
magnetic moment	0.00	μB/cell
ΔE_f	-0.44	eV/atom

Cell: 9.0879 10.5689 19.3121 Å, 90.00 90.00 90.00°
Closest atoms and distances in Å follow each position.
Space group P2_12_12_1 (No. 19)
Asymmetric unit:
Ni  0.1872  0.1744  0.1534 [4 per cell]  1 O 2.19, 3 S 2.40-2.44
H  0.0054  0.6432  0.8113 [4 per cell]  1 N 1.02
H  0.0125  0.4200  0.5441 [4 per cell]  1 N 1.02
H  0.0130  0.6589  0.9266 [4 per cell]  1 O 0.98
H  0.0192  0.7374  0.6018 [4 per cell]  1 N 1.02
H  0.0442  0.2036  0.4074 [4 per cell]  1 N 1.02
H  0.0777  0.1226  0.9462 [4 per cell]  1 N 1.02
H  0.0895  0.4959  0.3407 [4 per cell]  1 N 1.02
H  0.1017  0.0513  0.4294 [4 per cell]  1 N 1.02
H  0.1216  0.7142  0.9807 [4 per cell]  1 O 0.98
H  0.1336  0.4431  0.9610 [4 per cell]  1 N 1.02
H  0.1679  0.7010  0.7733 [4 per cell]  1 N 1.02
H  0.1695  0.9089  0.3403 [4 per cell]  1 N 1.02
H  0.1728  0.3749  0.5856 [4 per cell]  1 N 1.02
H  0.1742  0.9629  0.2546 [4 per cell]  1 N 1.02
H  0.2083  0.3002  0.9900 [4 per cell]  1 N 1.02
H  0.2133  0.2541  0.7047 [4 per cell]  1 N 1.02
H  0.2227  0.3710  0.7686 [4 per cell]  1 N 1.02
H  0.2502  0.4438  0.3799 [4 per cell]  1 N 1.03
C  0.0177  0.2961  0.7529 [4 per cell]  2 N 1.34
C  0.1122  0.0956  0.3249 [4 per cell]  2 N 1.34
C  0.1144  0.5619  0.5994 [4 per cell]  2 N 1.34
C  0.1815  0.6177  0.4090 [4 per cell]  2 N 1.34-1.35
S  0.0462  0.7310  0.4068 [4 per cell]  1 C 1.72
S  0.0674  0.8931  0.6881 [4 per cell]  1 C 1.72
S  0.0746  0.2118  0.2650 [4 per cell]  1 C 1.72
S  0.1968  0.9165  0.0849 [4 per cell]  3 O 1.49-1.51
S  0.2189  0.9337  0.5320 [4 per cell]  1 S 2.03
S  0.2280  0.3985  0.1434 [4 per cell]  1 C 1.72
N  0.0084  0.6460  0.5855 [4 per cell]  2 H 1.02
N  0.0585  0.7109  0.7834 [4 per cell]  2 H 1.02
N  0.0865  0.1188  0.3921 [4 per cell]  2 H 1.02
N  0.0951  0.4427  0.5779 [4 per cell]  2 H 1.02
N  0.1637  0.3027  0.7438 [4 per cell]  2 H 1.02
N  0.1649  0.9827  0.3061 [4 per cell]  2 H 1.02
N  0.1859  0.5187  0.3648 [4 per cell]  2 H 1.02-1.03
N  0.2082  0.3715  0.9547 [4 per cell]  2 H 1.02
O  0.0802  0.8527  0.0439 [4 per cell]  1 S 1.49
O  0.1122  0.6468  0.9458 [4 per cell]  2 H 0.98
O  0.1347  0.9718  0.1508 [4 per cell]  1 S 1.51
O  0.1847  0.1753  0.6025 [4 per cell]  1 S 1.49



Entry 5:
Below is a relaxed structure of NiH16C2S3N6O7, with properties calculated at the PBE+U level.

magnetic moment	4.00	μB/cell
ΔE_f	-0.70	eV/atom

Cell: 6.5379 16.6298 7.0399 Å, 90.00 100.71 90.00°
Closest atoms and distances in Å follow each position.
Space group P2_1/m (No. 11)
Asymmetric unit:
Ni  0.0000  0.0000  0.0000 [2 per cell]  2 N 2.05, 2 S 2.29
H  0.0735  0.1533  0.0469 [4 per cell]  1 N 1.04
H  0.1119  0.1539  0.5155 [4 per cell]  1 O 0.99
H  0.1825  0.1191  0.8666 [4 per cell]  1 N 1.04
H  0.2826  0.5856  0.6663 [4 per cell]  1 N 1.04
H  0.3190  0.0191  0.6252 [4 per cell]  1 N 1.02
H  0.3391  0.7500  0.4236 [2 per cell]  1 O 0.98
H  0.3454  0.1702  0.6203 [4 per cell]  1 O 0.99
H  0.3540  0.7500  0.2059 [2 per cell]  1 O 0.98
H  0.4471  0.1556  0.1387 [4 per cell]  1 N 1.04
C  0.4333  0.0353  0.2132 [4 per cell]  2 N 1.33-1.34
S  0.1878  0.7500  0.7818 [2 per cell]  4 O 1.50
S  0.2883  0.5519  0.1953 [4 per cell]  1 C 1.72
N  0.1606  0.1062  0.0067 [4 per cell]  2 H 1.04
N  0.3560  0.1039  0.1306 [4 per cell]  1 H 1.04
N  0.3734  0.5342  0.6867 [4 per cell]  2 H 1.02-1.04
O  0.0878  0.7500  0.9569 [2 per cell]  1 S 1.50
O  0.1237  0.6766  0.6629 [4 per cell]  1 S 1.50
O  0.2277  0.1326  0.6137 [4 per cell]  2 H 0.99
O  0.4199  0.7500  0.8447 [2 per cell]  1 S 1.50
O  0.4395  0.7500  0.3361 [2 per cell]  2 H 0.98



Which formula does entry 5 have? NiH16C2S3N6O7



Among the records above, which one has the highest magnetic moment? NiH10C2N4O6